[1]
# Li5Fe5Cu2O12 | Materials Project | GGA+U | optimized geometry
data_Li5Fe5Cu2O12
_chemical_formula_sum 'Li10 Fe10 Cu4 O24'
_space_group_name_H-M_alt 'C 1 2 1'
_space_group_IT_number 5
_space_group_name_Hall 'C 2y'
_cell_length_a 5.390
_cell_length_b 8.766
_cell_length_c 9.792
_cell_angle_alpha 90.00
_cell_angle_beta 96.15
_cell_angle_gamma 90.00
loop_
_atom_site_label
_atom_site_type_symbol
_atom_site_fract_x
_atom_site_fract_y
_atom_site_fract_z
_atom_site_occupancy
Li1 Li 0.000 0.000 0.000 1
Li2 Li 0.231 0.829 0.237 1
Li3 Li 0.243 0.511 0.236 1
Fe1 Fe 0.000 0.334 0.000 1
Fe2 Fe 0.000 0.502 0.500 1
Fe3 Fe 0.000 0.835 0.500 1
Fe4 Fe 0.246 0.165 0.240 1
Cu1 Cu 0.000 0.170 0.500 1
Cu2 Cu 0.000 0.668 0.000 1
O1 O 0.083 0.669 0.369 1
O2 O 0.086 0.176 0.863 1
O3 O 0.117 0.504 0.878 1
O4 O 0.142 0.828 0.883 1
O5 O 0.144 0.005 0.387 1
O6 O 0.148 0.333 0.389 1
# E (eV/atom): -5.892

---

[2]
# MoH2C2O4 | Materials Project | GGA+U | optimized geometry
data_MoH2C2O4
_chemical_formula_sum 'Mo12 H24 C24 O48'
_space_group_name_H-M_alt 'P 1 21/c 1'
_space_group_IT_number 14
_space_group_name_Hall '-P 2ybc'
_cell_length_a 5.885
_cell_length_b 13.398
_cell_length_c 19.793
_cell_angle_alpha 90.00
_cell_angle_beta 93.46
_cell_angle_gamma 90.00
loop_
_atom_site_label
_atom_site_type_symbol
_atom_site_fract_x
_atom_site_fract_y
_atom_site_fract_z
_atom_site_occupancy
Mo1 Mo 0.158 0.007 0.213 1
Mo2 Mo 0.185 0.553 0.010 1
Mo3 Mo 0.235 0.053 0.840 1
H1 H 0.022 0.151 0.033 1
H2 H 0.080 0.215 0.669 1
H3 H 0.132 0.128 0.325 1
H4 H 0.257 0.727 0.584 1
H5 H 0.488 0.743 0.405 1
H6 H 0.498 0.700 0.242 1
C1 C 0.000 0.103 0.078 1
C2 C 0.028 0.106 0.279 1
C3 C 0.065 0.161 0.711 1
C4 C 0.179 0.668 0.614 1
C5 C 0.369 0.642 0.250 1
C6 C 0.447 0.735 0.956 1
O1 O 0.037 0.163 0.891 1
O2 O 0.124 0.615 0.787 1
O3 O 0.126 0.076 0.465 1
O4 O 0.161 0.105 0.124 1
O5 O 0.175 0.661 0.216 1
O6 O 0.183 0.553 0.422 1
O7 O 0.241 0.152 0.752 1
O8 O 0.281 0.663 0.955 1
O9 O 0.315 0.612 0.649 1
O10 O 0.340 0.525 0.084 1
O11 O 0.416 0.569 0.287 1
O12 O 0.463 0.230 0.992 1
# Energy above the lowest structure with this stoichiometry (meV per atom): 130.0

---

[3]
# FeB2O4 | Materials Project | GGA+U | optimized geometry
data_FeB2O4
_chemical_formula_sum 'Fe8 B16 O32'
_space_group_name_H-M_alt 'P 1 21/c 1'
_space_group_IT_number 14
_space_group_name_Hall '-P 2ybc'
_cell_length_a 7.238
_cell_length_b 7.535
_cell_length_c 8.721
_cell_angle_alpha 90.00
_cell_angle_beta 94.66
_cell_angle_gamma 90.00
loop_
_atom_site_label
_atom_site_type_symbol
_atom_site_fract_x
_atom_site_fract_y
_atom_site_fract_z
_atom_site_occupancy
Fe1 Fe 0.023 0.234 0.362 1
Fe2 Fe 0.469 0.229 0.892 1
B1 B 0.179 0.097 0.122 1
B2 B 0.201 0.602 0.385 1
B3 B 0.302 0.064 0.641 1
B4 B 0.319 0.572 0.859 1
O1 O 0.014 0.660 0.423 1
O2 O 0.182 0.558 0.724 1
O3 O 0.186 0.565 0.217 1
O4 O 0.264 0.057 0.975 1
O5 O 0.264 0.067 0.473 1
O6 O 0.268 0.248 0.703 1
O7 O 0.331 0.750 0.428 1
O8 O 0.497 0.020 0.693 1
# Energy above the lowest structure with this stoichiometry (meV per atom): 125.4

---

[4]
# Li4Cr3Fe3Te2O16 | Materials Project | GGA+U | optimized geometry
data_Li4Cr3Fe3Te2O16
_chemical_formula_sum 'Li8 Cr6 Fe6 Te4 O32'
_space_group_name_H-M_alt 'C 1 m 1'
_space_group_IT_number 8
_space_group_name_Hall 'C -2y'
_cell_length_a 10.426
_cell_length_b 6.010
_cell_length_c 9.826
_cell_angle_alpha 90.00
_cell_angle_beta 90.60
_cell_angle_gamma 90.00
loop_
_atom_site_label
_atom_site_type_symbol
_atom_site_fract_x
_atom_site_fract_y
_atom_site_fract_z
_atom_site_occupancy
Li1 Li 0.000 0.000 0.000 1
Li2 Li 0.001 0.000 0.501 1
Li3 Li 0.168 0.500 0.085 1
Li4 Li 0.335 0.000 0.582 1
Cr1 Cr 0.330 0.500 0.777 1
Cr2 Cr 0.416 0.246 0.277 1
Fe1 Fe 0.084 0.254 0.776 1
Fe2 Fe 0.169 0.000 0.276 1
Te1 Te 0.167 0.500 0.503 1
Te2 Te 0.334 0.000 0.005 1
O1 O 0.000 0.000 0.685 1
O2 O 0.001 0.000 0.184 1
O3 O 0.020 0.500 0.643 1
O4 O 0.082 0.241 0.395 1
O5 O 0.164 0.000 0.897 1
O6 O 0.166 0.500 0.881 1
O7 O 0.244 0.277 0.649 1
O8 O 0.262 0.225 0.149 1
O9 O 0.333 0.000 0.380 1
O10 O 0.342 0.500 0.392 1
O11 O 0.420 0.256 0.893 1
O12 O 0.485 0.000 0.155 1
# E (eV/atom): -6.399